A plane-wave DFT calculation with GGA-PBE was carried out for crystalline Eu2Al3Ga at its relaxed geometry.

abc: 5.7261 5.7261 5.7261
angles: 59.34 59.34 59.34
Last column: nearest neighbours and their distance in Å.
Fractional positions:
Eu (0.1251, 0.1251, 0.1251)  3 Ga 3.32, 9 Al 3.34-3.36, 4 Eu 3.48-3.53
Eu (0.8749, 0.8749, 0.8749)  3 Ga 3.32, 9 Al 3.34-3.36, 4 Eu 3.48-3.53
Al (0.5000, 0.0000, 0.5000)  4 Al 2.83, 2 Ga 2.86
Al (0.0000, 0.5000, 0.5000)  4 Al 2.83, 2 Ga 2.86
Al (0.5000, 0.5000, 0.0000)  4 Al 2.83, 2 Ga 2.86
Ga (0.5000, 0.5000, 0.5000)  6 Al 2.86

Formation enthalpy at 0 K: -0.42 eV/atom
Space-group type: R-3m, No. 166
Total magnetic moment: 13.98 μB per cell



A plane-wave DFT calculation with GGA-PBE was carried out for crystalline EuAlGe at its relaxed geometry.

abc: 8.0654 8.0654 8.0654
angles: 148.65 148.65 44.93
Last column: nearest neighbours and their distance in Å.
Fractional positions:
Ge (0.7491, 0.2491, 0.5000)  3 Al 2.48-2.51
Ge (0.9991, 0.9991, 0.0000)  3 Al 2.48-2.51
Al (0.9156, 0.4156, 0.5000)  3 Ge 2.48-2.51
Al (0.1656, 0.1656, 0.0000)  3 Ge 2.48-2.51
Eu (0.3323, 0.8323, 0.5000)  6 Al 3.31-3.32, 6 Ge 3.31-3.32
Eu (0.5823, 0.5823, 0.0000)  6 Al 3.31-3.32, 6 Ge 3.31-3.32

Formation enthalpy at 0 K: -0.54 eV/atom
Space-group type: I4_1md, No. 109



A plane-wave DFT calculation with GGA-PBE was carried out for crystalline EuAl2Ge at its relaxed geometry.

abc: 4.2831 7.2465 11.2430
angles: 90.00 90.00 90.00
Last column: nearest neighbours and their distance in Å.
Fractional positions:
Eu (0.7500, 0.6402, 0.3603)  3 Ge 3.13-3.17, 7 Al 3.20-3.49
Eu (0.7500, 0.1402, 0.1397)  3 Ge 3.13-3.17, 7 Al 3.20-3.49
Eu (0.2500, 0.3598, 0.6397)  3 Ge 3.13-3.17, 7 Al 3.20-3.49
Eu (0.2500, 0.8598, 0.8603)  3 Ge 3.13-3.17, 7 Al 3.20-3.49
Ge (0.7500, 0.1749, 0.8591)  4 Al 2.50-2.64
Ge (0.2500, 0.3251, 0.3591)  4 Al 2.50-2.64
Ge (0.7500, 0.6749, 0.6409)  4 Al 2.50-2.64
Ge (0.2500, 0.8251, 0.1409)  4 Al 2.50-2.64
Al (0.2500, 0.4672, 0.1568)  2 Ge 2.50-2.60, 3 Al 2.62-2.72
Al (0.2500, 0.8521, 0.5639)  3 Al 2.62-2.72, 2 Ge 2.64
Al (0.7500, 0.5328, 0.8432)  2 Ge 2.50-2.60, 3 Al 2.62-2.72
Al (0.7500, 0.6479, 0.0639)  3 Al 2.62-2.72, 2 Ge 2.64
Al (0.2500, 0.9672, 0.3432)  2 Ge 2.50-2.60, 3 Al 2.62-2.72
Al (0.7500, 0.0328, 0.6568)  2 Ge 2.50-2.60, 3 Al 2.62-2.72
Al (0.7500, 0.1479, 0.4361)  3 Al 2.62-2.72, 2 Ge 2.64
Al (0.2500, 0.3521, 0.9361)  3 Al 2.62-2.72, 2 Ge 2.64

Formation enthalpy at 0 K: -0.44 eV/atom
Space-group type: Pnma, No. 62



The highest formation enthalpy at 0 K belongs to which entry? Eu2Al3Ga



Which value of formation enthalpy at 0 K does entry 2 give? -0.54 eV/atom